Record 1
VASP calculation (r²SCAN) on a geometry-optimized NdNi2 structure.

Properties
raw total energy	-18.06	eV/atom
calculated density	9.12	Mg/m³
total moment	0.00	μB/atom

Unit cell a=5.1265 b=5.1265 c=5.1265 alpha=60.00 beta=60.00 gamma=60.00
Fractional coordinates of all 6 atoms:
1 Nd 0.1250 0.1250 0.1250
2 Nd 0.8750 0.8750 0.8750
3 Ni 0.0000 0.5000 0.5000
4 Ni 0.5000 0.0000 0.5000
5 Ni 0.5000 0.5000 0.0000
6 Ni 0.5000 0.5000 0.5000


Record 2
VASP calculation (r²SCAN) on a geometry-optimized NdNiP structure.

Properties
raw total energy	-18.05	eV/atom
calculated density	7.10	Mg/m³
total moment	0.00	μB/atom

Unit cell a=3.9481 b=3.9481 c=16.2199 alpha=90.00 beta=90.00 gamma=120.00
Fractional coordinates of all 12 atoms:
1 Nd 0.0000 0.0000 0.0000
2 Nd 0.0000 0.0000 0.2500
3 Nd 0.0000 0.0000 0.5000
4 Nd 0.0000 0.0000 0.7500
5 Ni 0.3333 0.6667 0.1250
6 Ni 0.3333 0.6667 0.3750
7 Ni 0.6667 0.3333 0.6250
8 Ni 0.6667 0.3333 0.8750
9 P 0.3333 0.6667 0.6249
10 P 0.3333 0.6667 0.8751
11 P 0.6667 0.3333 0.1249
12 P 0.6667 0.3333 0.3751


Record 3
VASP calculation (r²SCAN) on a geometry-optimized Nd12Ni6Pb structure.

Properties
raw total energy	-25.62	eV/atom
calculated density	7.49	Mg/m³
total moment	0.00	μB/atom

Unit cell a=8.7052 b=8.7052 c=8.7052 alpha=109.47 beta=109.47 gamma=109.47
Fractional coordinates of all 19 atoms:
1 Nd 0.1213 0.8128 0.3085
2 Nd 0.1872 0.3085 0.4956
3 Nd 0.1872 0.6915 0.8787
4 Nd 0.3085 0.1213 0.8128
5 Nd 0.3085 0.4956 0.1872
6 Nd 0.4956 0.1872 0.3085
7 Nd 0.5044 0.8128 0.6915
8 Nd 0.6915 0.5044 0.8128
9 Nd 0.6915 0.8787 0.1872
10 Nd 0.8128 0.3085 0.1213
11 Nd 0.8128 0.6915 0.5044
12 Nd 0.8787 0.1872 0.6915
13 Ni 0.1199 0.6199 0.5000
14 Ni 0.3801 0.5000 0.8801
15 Ni 0.5000 0.1199 0.6199
16 Ni 0.5000 0.8801 0.3801
17 Ni 0.6199 0.5000 0.1199
18 Ni 0.8801 0.3801 0.5000
19 Pb 0.0000 0.0000 0.0000


Record 4
VASP calculation (r²SCAN) on a geometry-optimized NdNiRu structure.

Properties
raw total energy	-22.52	eV/atom
calculated density	9.78	Mg/m³
total moment	0.00	μB/atom

Unit cell a=5.3243 b=5.3243 c=5.3243 alpha=123.51 beta=120.41 gamma=86.66
Fractional coordinates of all 6 atoms:
1 Nd 0.3713 0.1213 0.2500
2 Nd 0.6287 0.8787 0.7500
3 Ni 0.0000 0.5000 0.5000
4 Ni 0.5000 0.5000 0.0000
5 Ru 0.0000 0.0000 0.5000
6 Ru 0.0000 0.5000 0.0000


Record 5
VASP calculation (r²SCAN) on a geometry-optimized NdNiSb2 structure.

Properties
raw total energy	-24.00	eV/atom
calculated density	7.85	Mg/m³
total moment	0.00	μB/atom

Unit cell a=4.3920 b=4.3920 c=9.7876 alpha=90.00 beta=90.00 gamma=90.00
Fractional coordinates of all 8 atoms:
1 Nd 0.2500 0.2500 0.2422
2 Nd 0.7500 0.7500 0.7578
3 Ni 0.2500 0.7500 0.0000
4 Ni 0.7500 0.2500 0.0000
5 Sb 0.2500 0.2500 0.8711
6 Sb 0.2500 0.7500 0.5000
7 Sb 0.7500 0.2500 0.5000
8 Sb 0.7500 0.7500 0.1289


Record 6
VASP calculation (r²SCAN) on a geometry-optimized NdNi2Sb2 structure.

Properties
raw total energy	-21.64	eV/atom
calculated density	8.50	Mg/m³
total moment	0.00	μB/atom

Unit cell a=4.4596 b=4.4596 c=9.9267 alpha=90.00 beta=90.00 gamma=90.00
Fractional coordinates of all 10 atoms:
1 Nd 0.2500 0.2500 0.2382
2 Nd 0.7500 0.7500 0.7618
3 Ni 0.2500 0.2500 0.6225
4 Ni 0.2500 0.7500 0.0000
5 Ni 0.7500 0.2500 0.0000
6 Ni 0.7500 0.7500 0.3775
7 Sb 0.2500 0.2500 0.8742
8 Sb 0.2500 0.7500 0.5000
9 Sb 0.7500 0.2500 0.5000
10 Sb 0.7500 0.7500 0.1258


Record 7
VASP calculation (r²SCAN) on a geometry-optimized NdSi2Ni9 structure.

Properties
raw total energy	-13.34	eV/atom
calculated density	8.32	Mg/m³
total moment	0.00	μB/atom

Unit cell a=7.5354 b=7.5354 c=7.5354 alpha=99.57 beta=99.57 gamma=131.88
Fractional coordinates of all 24 atoms:
1 Nd 0.3750 0.6250 0.7500
2 Nd 0.6250 0.3750 0.2500
3 Si 0.0000 0.0000 0.0000
4 Si 0.0000 0.0000 0.5000
5 Si 0.0000 0.5000 0.0000
6 Si 0.5000 0.0000 0.5000
7 Ni 0.1250 0.8750 0.2500
8 Ni 0.1418 0.5633 0.3285
9 Ni 0.1418 0.8133 0.5784
10 Ni 0.1867 0.2652 0.3285
11 Ni 0.1867 0.8582 0.9216
12 Ni 0.2652 0.1867 0.8285
13 Ni 0.2652 0.4367 0.0784
14 Ni 0.4367 0.2652 0.5784
15 Ni 0.4367 0.8582 0.1715
16 Ni 0.5633 0.1418 0.8285
17 Ni 0.5633 0.7348 0.4216
18 Ni 0.7348 0.5633 0.9216
19 Ni 0.7348 0.8133 0.1715
20 Ni 0.8133 0.1418 0.0784
21 Ni 0.8133 0.7348 0.6715
22 Ni 0.8582 0.1867 0.4216
23 Ni 0.8582 0.4367 0.6715
24 Ni 0.8750 0.1250 0.7500


Record 8
VASP calculation (r²SCAN) on a geometry-optimized NdNiSn structure.

Properties
raw total energy	-22.70	eV/atom
calculated density	8.20	Mg/m³
total moment	0.00	μB/atom

Unit cell a=7.4750 b=4.5775 c=7.6145 alpha=90.00 beta=90.00 gamma=90.00
Fractional coordinates of all 12 atoms:
1 Nd 0.0212 0.2500 0.1979
2 Nd 0.4788 0.7500 0.6979
3 Nd 0.5212 0.2500 0.3021
4 Nd 0.9788 0.7500 0.8021
5 Ni 0.1874 0.7500 0.4176
6 Ni 0.3126 0.2500 0.9176
7 Ni 0.6874 0.7500 0.0824
8 Ni 0.8126 0.2500 0.5824
9 Sn 0.1856 0.2500 0.5907
10 Sn 0.3144 0.7500 0.0907
11 Sn 0.6856 0.2500 0.9093
12 Sn 0.8144 0.7500 0.4093